1.
HfSe2Cl12 after structural relaxation, computed with PBE-GGA.

Calculated values
ΔE_f = -30.76 kcal/mol of atoms
V = 914 Å³/cell
Final energy = -3.451 eV/atom

Cell lengths 13.067, 12.868, 9.005 Å; angles 70.87, 68.50, 40.63 degrees
Positions (direct):
Hf 0.874 0.874 0.626
Hf 0.624 0.624 0.376
Se 0.425 0.986 0.026
Se 0.224 0.687 0.825
Se 0.986 0.425 0.563
Se 0.687 0.224 0.264
Cl 0.440 0.464 0.266
Cl 0.669 0.584 0.642
Cl 0.224 0.329 0.450
Cl 0.743 0.356 0.399
Cl 0.508 0.896 0.326
Cl 0.924 0.980 0.742
Cl 0.980 0.924 0.354
Cl 0.356 0.743 0.502
Cl 0.896 0.508 0.270
Cl 0.329 0.224 0.997
Cl 0.660 0.103 0.184
Cl 0.253 0.800 0.921
Cl 0.748 0.851 0.894
Cl 0.851 0.748 0.507
Cl 0.145 0.608 0.666
Cl 0.800 0.253 0.026
Cl 0.066 0.197 0.590
Cl 0.103 0.660 0.053
Cl 0.420 0.984 0.786
Cl 0.984 0.420 0.810
Cl 0.584 0.669 0.105
Cl 0.464 0.440 0.830
Cl 0.608 0.145 0.581
Cl 0.197 0.066 0.147

2.
HfTe7SeCl6 after structural relaxation, computed with PBE-GGA.

Calculated values
ΔE_f = -22.15 kcal/mol of atoms
V = 2062 Å³/cell
Magnetic moment = 0.0 μB per formula unit
Final energy = -3.818 eV/atom

Cell lengths 11.991, 11.710, 15.665 Å; angles 69.62, 90.00, 90.00 degrees
Positions (direct):
Hf 0.716 0.794 0.098
Hf 0.284 0.206 0.902
Hf 0.216 0.206 0.402
Hf 0.784 0.794 0.598
Te 0.634 0.379 0.231
Te 0.366 0.621 0.769
Te 0.134 0.621 0.269
Te 0.866 0.379 0.731
Te 0.215 0.846 0.163
Te 0.785 0.154 0.837
Te 0.715 0.154 0.337
Te 0.285 0.846 0.663
Te 0.648 0.197 0.050
Te 0.352 0.803 0.950
Te 0.148 0.803 0.450
Te 0.852 0.197 0.550
Te 0.438 0.647 0.537
Te 0.562 0.353 0.463
Te 0.938 0.353 0.963
Te 0.062 0.647 0.037
Te 0.951 0.346 0.141
Te 0.049 0.654 0.859
Te 0.451 0.654 0.359
Te 0.549 0.346 0.641
Te 0.339 0.876 0.303
Te 0.661 0.124 0.697
Te 0.839 0.124 0.197
Te 0.161 0.876 0.803
Te 0.986 0.731 0.351
Te 0.014 0.269 0.649
Te 0.486 0.269 0.149
Te 0.514 0.731 0.851
Se 0.771 0.407 0.465
Se 0.229 0.593 0.535
Se 0.271 0.593 0.035
Se 0.729 0.407 0.965
Cl 0.640 0.912 0.190
Cl 0.360 0.088 0.810
Cl 0.140 0.088 0.310
Cl 0.860 0.912 0.690
Cl 0.882 0.928 0.460
Cl 0.118 0.072 0.540
Cl 0.382 0.072 0.040
Cl 0.618 0.928 0.960
Cl 0.705 0.687 0.503
Cl 0.295 0.313 0.497
Cl 0.205 0.313 0.997
Cl 0.795 0.687 0.003
Cl 0.544 0.667 0.133
Cl 0.456 0.333 0.867
Cl 0.044 0.333 0.367
Cl 0.956 0.667 0.633
Cl 0.877 0.927 0.068
Cl 0.123 0.073 0.932
Cl 0.377 0.073 0.432
Cl 0.623 0.927 0.568
Cl 0.802 0.644 0.233
Cl 0.198 0.356 0.767
Cl 0.302 0.356 0.267
Cl 0.698 0.644 0.733

3.
HfTe4Cl6 after structural relaxation, computed with PBE-GGA.

Calculated values
ΔE_f = -30.17 kcal/mol of atoms
V = 397 Å³/cell
Final energy = -4.030 eV/atom

Cell lengths 7.341, 7.388, 7.872 Å; angles 76.20, 75.10, 79.21 degrees
Positions (direct):
Hf 0.000 0.000 0.000
Te 0.391 0.500 0.303
Te 0.609 0.500 0.697
Te 0.690 0.294 0.438
Te 0.310 0.706 0.562
Cl 0.997 0.215 0.704
Cl 0.003 0.785 0.296
Cl 0.111 0.238 0.099
Cl 0.889 0.762 0.901
Cl 0.664 0.125 0.119
Cl 0.336 0.875 0.881

4.
Hg3Cl after structural relaxation, computed with PBE-GGA.

Calculated values
ΔE_f = -5.32 kcal/mol of atoms
V = 108 Å³/cell
Magnetic moment = 0.0 μB per formula unit
Final energy = -0.767 eV/atom

Cell lengths 5.338, 5.338, 5.338 Å; angles 60.00, 60.00, 60.00 degrees
Positions (direct):
Hg 0.250 0.250 0.250
Hg 0.750 0.750 0.750
Hg 0.500 0.500 0.500
Cl 0.000 0.000 0.000